(1)
## Li4VCr3O8 (PBE with a Hubbard U)

Data for an optimized crystal structure of Li4VCr3O8.

a = 5.1511 Å, b = 7.8681 Å, c = 7.8695 Å
α = 94.18°, β = 96.35°, γ = 108.79°
With the nearest neighbours (Å) after each atom.
Fractional coordinates of all 32 atoms:
Li1 0.6257 0.6240 0.8751  6 O 2.16-2.18
Li2 0.3743 0.3760 0.1249  6 O 2.16-2.18
Li3 0.2494 0.2511 0.7498  6 O 2.16-2.19
Li4 0.7506 0.7489 0.2502  6 O 2.16-2.19
Li5 0.1259 0.1253 0.3766  6 O 2.16-2.19
Li6 0.5000 0.5000 0.5000  6 O 2.17-2.19
Li7 0.0000 0.0000 0.0000  6 O 2.17-2.19
Li8 0.8741 0.8747 0.6234  6 O 2.16-2.19
Cr1 0.1859 0.6862 0.0630  6 O 2.03-2.05
Cr2 0.8141 0.3138 0.9370  6 O 2.03-2.05
Cr3 0.6881 0.1878 0.5624  6 O 2.03-2.04
Cr4 0.9378 0.4373 0.3125  6 O 2.03-2.04
Cr5 0.0622 0.5627 0.6875  6 O 2.03-2.04
Cr6 0.3119 0.8122 0.4376  6 O 2.03-2.04
O1 0.8285 0.1013 0.7800  2 Cr 2.03, 1 V 2.07, 3 Li 2.16-2.18
O2 0.9270 0.6515 0.4700  3 Cr 2.03-2.04, 3 Li 2.16-2.19
O3 0.1985 0.4740 0.9049  3 Cr 2.03, 3 Li 2.17-2.18
O4 0.5520 0.2770 0.3448  2 Cr 2.04, 1 V 2.04, 3 Li 2.17-2.19
O5 0.6771 0.4016 0.7189  3 Cr 2.03, 3 Li 2.17-2.19
O6 0.3229 0.5984 0.2811  3 Cr 2.03, 3 Li 2.17-2.19
O7 0.9531 0.2257 0.1540  2 Cr 2.03, 1 V 2.07, 3 Li 2.16-2.19
O8 0.5746 0.8454 0.0308  1 Cr 2.05, 2 V 2.05, 3 Li 2.16-2.19
O9 0.6980 0.9728 0.4059  2 Cr 2.04, 1 V 2.05, 3 Li 2.16-2.19
O10 0.0469 0.7743 0.8460  2 Cr 2.03, 1 V 2.07, 3 Li 2.16-2.19
O11 0.3020 0.0272 0.5941  2 Cr 2.04, 1 V 2.05, 3 Li 2.16-2.19
O12 0.0730 0.3485 0.5300  3 Cr 2.03-2.04, 3 Li 2.16-2.19
O13 0.8015 0.5260 0.0951  3 Cr 2.03, 3 Li 2.17-2.18
O14 0.4480 0.7230 0.6552  2 Cr 2.04, 1 V 2.04, 3 Li 2.17-2.19
O15 0.4254 0.1546 0.9692  1 Cr 2.05, 2 V 2.05, 3 Li 2.16-2.19
O16 0.1715 0.8987 0.2200  2 Cr 2.03, 1 V 2.07, 3 Li 2.16-2.18
V1 0.4379 0.9379 0.8136  6 O 2.04-2.07
V2 0.5621 0.0621 0.1864  6 O 2.04-2.07

Computed properties:
- Total energy: -0.509 Ry per atom
- Formation enthalpy at 0 K: -38.72 eV per formula unit

(2)
## Mo2HO6 (PBE with a Hubbard U)

Data for an optimized crystal structure of Mo2HO6.

a = 3.8116 Å, b = 3.8504 Å, c = 8.1533 Å
α = 77.05°, β = 88.90°, γ = 89.52°
With the nearest neighbours (Å) after each atom.
Fractional coordinates of all 9 atoms:
O1 0.7466 0.4116 0.1752  2 Mo 1.91-1.94
O2 0.2713 0.1855 0.5983  1 Mo 1.71
O3 0.2443 0.9399 0.1170  2 Mo 1.96-1.97
O4 0.7060 0.7875 0.4154  1 H 0.99
O5 0.2465 0.5749 0.8398  2 Mo 1.91-1.96
O6 0.7480 0.0545 0.8834  2 Mo 1.98-1.99
H1 0.6120 0.9756 0.4689  1 O 0.99
Mo1 0.2508 0.0931 0.8138  2 O 1.71-1.91
Mo2 0.7429 0.9145 0.1773  5 O 1.90-1.97

Computed properties:
- Total energy: -0.490 Ry per atom
- Formation enthalpy at 0 K: -15.73 eV per formula unit

(3)
## MgFe2P2H18O18 (PBE with a Hubbard U)

Data for an optimized crystal structure of MgFe2P2H18O18.

a = 5.3963 Å, b = 7.2775 Å, c = 10.3362 Å
α = 97.66°, β = 101.34°, γ = 111.05°
With the nearest neighbours (Å) after each atom.
Fractional coordinates of all 41 atoms:
O1 0.1164 0.2860 0.4240  1 P 1.56
O2 0.0950 0.9052 0.8212  1 P 1.55
O3 0.4549 0.4554 0.6978  2 H 1.01
O4 0.2877 0.0520 0.6359  1 P 1.56, 1 H 1.68
O5 0.6680 0.2983 0.5077  1 H 0.99
O6 0.8836 0.7140 0.5760  1 P 1.56
O7 0.9050 0.0948 0.1788  1 P 1.55
O8 0.7664 0.6898 0.9945  2 H 0.98-0.99
O9 0.6618 0.0297 0.8883  2 H 0.99
O10 0.5451 0.5446 0.3022  2 H 1.01
O11 0.3320 0.7017 0.4923  1 H 0.99
O12 0.7123 0.9480 0.3641  1 P 1.56, 1 H 1.68
O13 0.8210 0.0384 0.6588  1 P 1.55, 1 H 1.72
O14 0.0735 0.5092 0.8046  2 H 0.98-1.00
O15 0.9265 0.4908 0.1954  2 H 0.98-1.00
O16 0.2336 0.3102 0.0055  2 H 0.98-0.99
O17 0.1790 0.9616 0.3412  1 P 1.55, 1 H 1.72
O18 0.3382 0.9703 0.1117  2 H 0.99
H1 0.3225 0.4017 0.0948  1 O 0.98
H2 0.3079 0.4874 0.7317  1 O 1.01
H3 0.0774 0.6486 0.8173  1 O 1.00
H4 0.3900 0.3038 0.6840  1 O 1.01
H5 0.9226 0.3514 0.1827  1 O 1.00
H6 0.6860 0.0387 0.7962  1 O 0.99
H7 0.0959 0.5742 0.2665  1 O 0.98
H8 0.9041 0.4258 0.7335  1 O 0.98
H9 0.6775 0.5983 0.9052  1 O 0.98
H10 0.4620 0.9872 0.8789  1 O 0.99
H11 0.8436 0.3245 0.4823  1 O 0.99
H12 0.5380 0.0128 0.1211  1 O 0.99
H13 0.8348 0.6139 0.0546  1 O 0.99
H14 0.6100 0.6962 0.3160  1 O 1.01
H15 0.3140 0.9613 0.2038  1 O 0.99
H16 0.1652 0.3861 0.9454  1 O 0.99
H17 0.6921 0.5126 0.2683  1 O 1.01
H18 0.1564 0.6755 0.5177  1 O 0.99
P1 0.9807 0.0729 0.3268  4 O 1.55-1.56
P2 0.0193 0.9271 0.6732  4 O 1.55-1.56
Fe1 0.5000 0.5000 0.5000  6 O 1.99-2.16
Fe2 0.5000 0.0000 0.5000  6 O 2.01-2.06
Mg1 0.0000 0.0000 0.0000  6 O 2.06-2.14

Computed properties:
- Total energy: -0.415 Ry per atom
- Formation enthalpy at 0 K: -68.94 eV per formula unit

- Which of these has the highest formation enthalpy at 0 K?
  Mo2HO6